YInPd2: relaxed, PBE. Values from VASP.

Results
SG ... Fm-3m

Geometry as Quantum ESPRESSO input:
```
&SYSTEM
  ibrav = 0, nat = 4, ntyp = 3
/
ATOMIC_SPECIES
Pd 106.42 Pd.upf
In 114.82 In.upf
Y 88.91 Y.upf
CELL_PARAMETERS angstrom
3.3479 1.3912 -3.1665
0.9320 -2.7132 -3.8653
-1.3093 1.5159 -4.3770
ATOMIC_POSITIONS angstrom
Pd 0.7426 0.0485 -2.8522
Pd 2.2279 0.1455 -8.5567
In 1.4853 0.0970 -5.7044
Y 0.0000 0.0000 0.0000
```

---

TaPb3: relaxed, PBE. Values from VASP.

Results
Spin magnetization ... 0.1 μB/cell
SG ... P6_3/mmc

Geometry as Quantum ESPRESSO input:
```
&SYSTEM
  ibrav = 0, nat = 8, ntyp = 2
/
ATOMIC_SPECIES
Pb 207.20 Pb.upf
Ta 180.95 Ta.upf
CELL_PARAMETERS angstrom
3.3044 -5.7235 0.0000
3.3044 5.7235 0.0000
0.0000 0.0000 5.5531
ATOMIC_POSITIONS angstrom
Pb 4.8934 -0.9904 4.1648
Pb 1.7154 -0.9904 4.1648
Pb 1.7154 0.9904 1.3883
Pb 4.8934 0.9904 1.3883
Pb 3.3044 3.7426 1.3883
Pb 3.3044 -3.7426 4.1648
Ta 3.3044 -1.9078 1.3883
Ta 3.3044 1.9078 4.1648
```

---

TbSeClO3: relaxed, PBE. Values from VASP.

Results
Spin magnetization ... 0.0 μB/cell
SG ... Pnma

Geometry as Quantum ESPRESSO input:
```
&SYSTEM
  ibrav = 0, nat = 24, ntyp = 4
/
ATOMIC_SPECIES
Cl 35.45 Cl.upf
Tb 158.93 Tb.upf
O 16.00 O.upf
Se 78.96 Se.upf
CELL_PARAMETERS angstrom
7.0574 0.0000 0.0000
0.0000 7.3314 0.0000
0.0000 0.0000 8.9193
ATOMIC_POSITIONS angstrom
Cl 5.2930 0.4149 1.6204
Cl 1.7643 3.2508 6.0800
Cl 1.7643 6.9165 7.2989
Cl 5.2930 4.0806 2.8393
Tb 5.2930 6.5551 4.1100
Tb 5.2930 2.8894 0.3497
Tb 1.7643 0.7763 4.8093
Tb 1.7643 4.4420 8.5696
O 4.0450 4.7037 8.3188
O 0.5163 6.2934 3.8591
O 6.5411 1.0380 5.0601
O 0.5163 2.6277 0.6005
O 6.5411 4.7037 8.3188
O 3.0124 6.2934 3.8591
O 5.2930 1.8193 7.3132
O 4.0450 1.0380 5.0601
O 1.7643 1.8464 2.8536
O 3.0124 2.6277 0.6005
O 5.2930 5.4851 6.0657
O 1.7643 5.5121 1.6061
Se 1.7643 1.5413 1.1799
Se 5.2930 2.1244 5.6396
Se 5.2930 5.7901 7.7394
Se 1.7643 5.2070 3.2797
```

---

| no. | VASP energy (eV per cell) | ΔE_f (meV/atom) |
| --- | --- | --- |
| 1 | -22.9 | -819 |
| 2 | -40.2 | 730 |
| 3 | -148.3 | -2385 |